Here is an optimized crystal structure of Pr2Al9Rh3 from Materials Project. Energies are from PBE.

Properties
Crystal system ... orthorhombic
Space-group type ... Cmcm

Structure (extended XYZ):
```
28
Lattice="3.866 -6.599 0.000 3.866 6.599 0.000 0.000 0.000 9.662" Properties=species:S:1:pos:R:3 pbc="T T T"
Al 1.312 2.184 5.528
Al 4.314 1.366 2.416
Al 5.143 0.000 5.281
Al 5.143 0.000 9.213
Al 1.312 -2.184 8.965
Al 3.418 -1.366 7.247
Al 1.312 -2.184 5.528
Al 4.314 -1.366 2.416
Al 2.589 0.000 0.450
Al 6.420 2.184 0.697
Al 6.420 -2.184 0.697
Al 6.420 2.184 4.134
Al 3.418 1.366 7.247
Al 6.420 -2.184 4.134
Al 1.009 0.000 7.247
Al 2.589 0.000 4.382
Al 1.312 2.184 8.965
Al 6.723 0.000 2.416
Rh 3.866 2.256 0.000
Rh 3.866 -2.256 4.831
Rh 0.000 0.000 4.831
Rh 3.866 -2.256 0.000
Rh 3.866 2.256 4.831
Rh 0.000 0.000 0.000
Pr 6.437 2.144 7.247
Pr 1.295 2.144 2.416
Pr 1.295 -2.144 2.416
Pr 6.437 -2.144 7.247
```

Here is an optimized crystal structure of Pr5Al2Ru3 from Materials Project. Energies are from PBE.

Properties
Crystal system ... cubic
Space-group type ... I2_13

Structure (extended XYZ):
```
20
Lattice="-4.974 4.974 4.974 4.974 -4.974 4.974 4.974 4.974 -4.974" Properties=species:S:1:pos:R:3 pbc="T T T"
Pr 1.064 1.064 1.064
Pr 0.000 2.487 4.324
Pr 2.487 4.324 0.000
Pr 1.064 -1.064 3.910
Pr 3.910 1.064 -1.064
Pr -1.064 3.910 1.064
Pr 4.324 0.000 2.487
Pr 0.000 7.460 0.649
Pr 0.649 0.000 7.460
Pr 7.460 0.649 0.000
Ru -2.487 3.659 4.974
Ru 4.974 2.487 1.315
Ru 2.487 1.315 4.974
Ru 1.315 4.974 2.487
Ru 3.659 4.974 -2.487
Ru 4.974 -2.487 3.659
Al 7.008 -2.034 2.034
Al 2.939 2.939 2.939
Al -2.034 2.034 7.008
Al 2.034 7.008 -2.034
```

Here is an optimized crystal structure of PrAlSi2 from Materials Project. Energies are from PBE.

Properties
Crystal system ... trigonal
Space-group type ... P-3m1

Structure (extended XYZ):
```
8
Lattice="0.206 3.184 2.718 -0.184 -3.945 1.403 11.147 -0.580 -0.164" Properties=species:S:1:pos:R:3 pbc="T T T"
Al 6.598 0.468 2.184
Al 4.570 -1.809 1.773
Pr 9.126 -0.475 -0.135
Pr 2.021 -0.105 -0.030
Si 11.160 0.231 2.116
Si 7.131 -1.942 1.736
Si 4.037 0.601 2.221
Si 0.008 -1.572 1.841
```

Here is an optimized crystal structure of Pr3Al4Si6 from Materials Project. Energies are from PBE.

Properties
Crystal system ... trigonal
Space-group type ... P-3m1

Structure (extended XYZ):
```
13
Lattice="-2.306 2.123 -2.793 -1.598 -3.384 1.903 -6.398 10.466 13.238" Properties=species:S:1:pos:R:3 pbc="T T T"
Si -6.432 5.972 9.850
Si -3.870 3.232 2.497
Si -2.503 -0.455 1.721
Si -7.800 9.659 10.627
Si -5.286 5.547 5.426
Si -5.016 3.657 6.922
Al -3.409 1.028 3.596
Al -2.971 1.762 0.638
Al -6.893 8.177 8.752
Al -7.331 7.443 11.710
Pr -2.485 4.064 5.141
Pr -3.913 6.401 8.097
Pr 0.000 0.000 0.000
```

Here is an optimized crystal structure of PrAl20V2 from Materials Project. Energies are from PBE.

Properties
Crystal system ... cubic
Space-group type ... Fd-3m

Structure (extended XYZ):
```
46
Lattice="-4.344 -9.282 -0.911 2.037 -7.335 6.921 -7.268 -2.954 6.655" Properties=species:S:1:pos:R:3 pbc="T T T"
Al -5.110 -10.150 11.590
Al -2.303 -7.823 5.652
Al -5.216 -17.043 8.486
Al -2.351 -10.754 4.588
Al -5.768 -15.056 6.610
Al -9.741 -11.563 5.906
Al -4.633 -12.801 5.163
Al -5.185 -10.813 3.288
Al -2.272 -4.754 1.180
Al -4.265 -5.564 3.005
Al -4.815 -12.849 10.741
Al -7.003 -8.564 4.455
Al -5.985 -12.231 7.916
Al -6.588 -4.827 6.567
Al -2.516 -5.030 5.153
Al -9.030 -12.178 8.590
Al 0.165 -8.007 6.760
Al -2.940 -12.284 7.242
Al -1.714 -6.766 3.078
Al -10.207 -14.693 8.343
Al -4.039 -14.528 8.733
Al -6.784 -13.649 12.544
Al -7.931 -9.934 7.099
Al -3.813 -7.590 8.372
Al -4.825 -6.635 5.580
Al -6.754 -7.419 7.346
Al -3.732 -10.569 9.292
Al -2.987 -14.743 6.099
Al -7.155 -11.614 5.091
Al -4.466 -9.420 1.075
Al -4.032 -8.350 3.530
Al -8.237 -13.893 6.540
Al -7.145 -17.827 10.252
Al -6.202 -9.407 9.222
Al -9.666 -16.640 10.180
Al -1.763 -9.769 7.489
Al -3.074 -3.019 3.255
Al -7.336 -11.661 10.669
Al -0.523 -4.221 3.328
Al -7.937 -16.112 12.302
V -1.197 -2.446 1.583
V -4.831 -3.923 4.911
V -3.369 -7.087 1.128
V -0.179 -6.114 5.044
Pr -7.182 -14.677 9.499
Pr -4.788 -9.785 6.333
```

Here is an optimized crystal structure of PrYAl4 from Materials Project. Energies are from PBE.

Properties
Crystal system ... cubic
Space-group type ... F-43m

Structure (extended XYZ):
```
6
Lattice="0.000 3.994 3.994 3.994 0.000 3.994 3.994 3.994 0.000" Properties=species:S:1:pos:R:3 pbc="T T T"
Al 4.993 2.995 2.995
Al 2.995 4.993 2.995
Al 2.995 2.995 4.993
Al 4.993 4.993 4.993
Pr 1.997 1.997 1.997
Y 0.000 0.000 0.000
```

Energy relative to the elements across the listed records, respectively: -0.81, -0.37, -0.44, -0.41, -0.20, -0.50 eV per atom.